Arrangement A

The following is a GGA+U calculation of crystalline MgV8O8F8 at its relaxed geometry, from Materials Project. Values from VASP.

```
&SYSTEM
  ibrav = 0, nat = 25, ntyp = 4
/
ATOMIC_SPECIES
Mg 24.30 Mg.upf
V 50.94 V.upf
O 16.00 O.upf
F 19.00 F.upf
CELL_PARAMETERS angstrom
4.910 0.000 0.000
0.082 5.658 0.000
0.029 0.970 10.643
ATOMIC_POSITIONS angstrom
Mg 0.000 0.000 0.000
V 0.103 1.351 6.287
V 2.423 5.908 8.864
V 2.376 0.772 1.111
V 2.513 2.349 4.050
V 2.584 4.145 6.551
V 4.778 3.335 1.562
V 4.863 3.188 9.103
V 4.980 5.200 3.712
O 0.788 5.121 1.734
O 0.910 1.259 4.590
O 1.575 5.788 7.170
O 1.527 1.839 9.749
O 3.403 2.489 5.850
O 3.464 4.277 8.379
O 3.862 3.481 3.196
O 4.143 1.867 0.310
F 0.880 4.856 9.861
F 0.970 3.042 7.257
F 1.568 4.058 4.717
F 1.550 2.393 2.123
F 3.327 4.676 0.227
F 3.284 0.708 3.043
F 4.022 5.308 5.683
F 4.076 1.360 8.417
```

Output
**Theoretical density**: 4.00 Mg/m³
**Magnetization**: 0.72 μB per atom

Arrangement B

The following is a GGA+U calculation of crystalline MgV8O8F8 at its relaxed geometry, from Materials Project. Values from VASP.

```
&SYSTEM
  ibrav = 0, nat = 25, ntyp = 4
/
ATOMIC_SPECIES
Mg 24.30 Mg.upf
V 50.94 V.upf
O 16.00 O.upf
F 19.00 F.upf
CELL_PARAMETERS angstrom
4.912 0.000 0.000
-0.216 5.745 0.000
-0.089 -0.965 10.377
ATOMIC_POSITIONS angstrom
Mg 0.000 0.000 0.000
V -0.044 -0.483 5.189
V -0.108 2.873 0.000
V -0.113 3.427 7.547
V 2.179 4.140 2.523
V 2.456 0.000 0.000
V 2.303 2.390 5.189
V 2.427 0.640 7.854
V 4.719 1.353 2.831
O 0.823 3.593 5.957
O 1.095 4.377 0.788
O 0.988 4.848 8.721
O 1.323 2.583 3.358
O 3.284 2.197 7.019
O 3.619 -0.067 1.656
O 3.511 0.404 9.590
O 3.783 1.187 4.420
F 1.083 -0.290 3.391
F 0.945 1.921 8.567
F 1.083 1.372 0.897
F 1.370 0.758 6.064
F 3.236 4.022 4.313
F 3.523 3.408 9.480
F 3.662 2.859 1.810
F 3.524 5.070 6.986
```

Output
**Theoretical density**: 4.04 Mg/m³
**Magnetization**: 0.72 μB per atom

Q: Which of them is the least stable? A: arrangement B.

Arrangement A

The following is a GGA+U calculation of crystalline MgV8O8F8 at its relaxed geometry, from Materials Project. Values from VASP.

```
&SYSTEM
  ibrav = 0, nat = 25, ntyp = 4
/
ATOMIC_SPECIES
Mg 24.30 Mg.upf
V 50.94 V.upf
O 16.00 O.upf
F 19.00 F.upf
CELL_PARAMETERS angstrom
4.964 0.000 0.000
-0.293 5.670 0.000
-0.085 -1.140 10.382
ATOMIC_POSITIONS angstrom
Mg 0.000 0.000 0.000
V -0.051 0.362 3.913
V -0.164 2.306 8.817
V -0.222 4.238 6.571
V 2.123 5.016 1.537
V 2.264 3.201 3.934
V 2.415 -0.303 9.010
V 2.466 1.321 6.229
V 4.762 2.348 1.284
O 0.435 4.206 8.506
O 0.632 3.944 0.488
O 0.860 0.212 5.722
O 1.245 4.927 3.162
O 3.312 1.426 4.548
O 3.882 2.506 7.144
O 4.098 0.428 1.857
O 4.096 0.721 9.850
F 0.667 2.146 3.112
F 1.358 3.102 5.828
F 1.570 1.071 0.604
F 1.545 1.402 8.185
F 2.961 3.596 9.865
F 3.132 3.271 2.016
F 3.364 -0.363 7.121
F 3.858 4.274 4.673
```

Output
**Theoretical density**: 4.04 Mg/m³
**Magnetization**: 0.72 μB per atom

Arrangement B

The following is a GGA+U calculation of crystalline MgV8O8F8 at its relaxed geometry, from Materials Project. Values from VASP.

```
&SYSTEM
  ibrav = 0, nat = 25, ntyp = 4
/
ATOMIC_SPECIES
Mg 24.30 Mg.upf
V 50.94 V.upf
O 16.00 O.upf
F 19.00 F.upf
CELL_PARAMETERS angstrom
4.859 0.000 0.000
-0.090 5.664 0.000
-0.331 -1.276 10.717
ATOMIC_POSITIONS angstrom
Mg 0.000 0.000 0.000
V -0.165 4.160 6.546
V -0.038 2.213 8.984
V 2.057 3.061 3.949
V 2.220 4.779 1.331
V 2.215 -0.400 9.388
V 2.369 1.305 6.768
V 4.461 2.170 1.742
V 4.594 0.207 4.172
O 0.723 4.311 4.771
O 0.744 2.490 7.274
O 1.279 3.094 2.198
O 1.110 3.442 10.088
O 3.325 0.939 0.632
O 3.148 1.286 8.519
O 3.679 1.875 3.448
O 3.705 0.053 5.945
F 0.632 0.291 2.106
F 0.483 0.554 10.151
F 1.277 1.374 4.867
F 1.305 -0.354 7.459
F 3.135 4.713 3.257
F 3.146 2.993 5.849
F 3.956 3.827 0.557
F 3.805 4.098 8.615
```

Output
**Theoretical density**: 4.01 Mg/m³
**Magnetization**: 0.72 μB per atom

Arrangement C

The following is a GGA+U calculation of crystalline MgV8O8F8 at its relaxed geometry, from Materials Project. Values from VASP.

```
&SYSTEM
  ibrav = 0, nat = 25, ntyp = 4
/
ATOMIC_SPECIES
Mg 24.30 Mg.upf
V 50.94 V.upf
O 16.00 O.upf
F 19.00 F.upf
CELL_PARAMETERS angstrom
5.004 0.000 0.000
-0.280 5.672 0.000
-0.294 -1.863 10.315
ATOMIC_POSITIONS angstrom
Mg 0.000 0.000 0.000
V -0.409 4.172 6.618
V 2.024 3.236 4.284
V 2.107 4.950 1.535
V 2.204 1.351 6.598
V 2.290 -0.790 8.967
V 4.421 1.223 8.920
V 4.699 0.323 3.971
V 4.730 2.328 1.674
O 0.516 3.961 0.771
O 0.603 2.029 3.365
O 0.359 4.058 8.524
O 1.162 3.095 5.944
O 3.430 -0.238 7.517
O 3.615 4.370 4.825
O 3.922 0.334 2.135
O 3.692 -0.100 10.245
F 0.661 0.238 5.827
F 1.135 4.930 3.361
F 1.497 1.004 0.803
F 1.420 1.040 8.532
F 2.670 3.019 9.934
F 2.975 3.260 2.285
F 3.141 1.486 4.711
F 3.727 2.494 7.352
```

Output
**Theoretical density**: 4.04 Mg/m³
**Magnetization**: 0.72 μB per atom

Q: Which of them is the least stable? A: arrangement C.

Arrangement A

The following is a GGA+U calculation of crystalline MgV4O2F12 at its relaxed geometry, from Materials Project. Values from VASP.

```
&SYSTEM
  ibrav = 0, nat = 19, ntyp = 4
/
ATOMIC_SPECIES
Mg 24.30 Mg.upf
V 50.94 V.upf
O 16.00 O.upf
F 19.00 F.upf
CELL_PARAMETERS angstrom
5.345 0.000 0.000
0.778 6.631 0.000
1.977 2.790 7.907
ATOMIC_POSITIONS angstrom
Mg 0.000 0.000 0.000
V 1.933 1.856 1.610
V 3.992 8.326 5.324
V 4.646 3.137 0.564
V 5.895 3.096 4.218
O 1.675 2.676 5.702
O 5.728 2.752 2.401
F 2.854 4.736 7.784
F 1.941 6.754 1.631
F 3.544 6.655 5.480
F 2.615 1.851 3.488
F 4.476 8.687 7.094
F 2.874 3.570 1.397
F 4.187 3.539 4.878
F 3.825 1.224 0.847
F 5.891 5.839 6.812
F 5.800 7.934 4.651
F 5.334 4.929 0.438
F 6.562 4.740 4.005
```

Output
**Theoretical density**: 2.89 Mg/m³
**Magnetization**: 0.32 μB per atom

Arrangement B

The following is a GGA+U calculation of crystalline MgV4O2F12 at its relaxed geometry, from Materials Project. Values from VASP.

```
&SYSTEM
  ibrav = 0, nat = 19, ntyp = 4
/
ATOMIC_SPECIES
Mg 24.30 Mg.upf
V 50.94 V.upf
O 16.00 O.upf
F 19.00 F.upf
CELL_PARAMETERS angstrom
5.447 0.000 0.000
0.535 6.644 0.000
1.872 2.437 8.071
ATOMIC_POSITIONS angstrom
Mg 0.000 0.000 0.000
V 1.880 4.703 5.827
V 3.154 3.458 3.171
V 4.596 3.475 6.929
V 5.966 4.607 2.222
O 1.625 4.277 3.902
O 2.749 4.303 7.291
F 1.158 6.392 1.877
F 2.431 6.360 5.435
F 2.278 3.741 1.519
F 4.172 8.519 7.276
F 2.832 1.756 3.352
F 3.776 3.613 5.074
F 4.138 5.115 3.021
F 3.715 0.975 0.468
F 5.557 5.175 6.379
F 4.967 2.926 2.401
F 5.270 4.854 0.425
F 6.394 2.778 6.206
```

Output
**Theoretical density**: 2.77 Mg/m³
**Magnetization**: 0.32 μB per atom

Q: Which of them is the least stable? A: arrangement A.

Arrangement A

The following is a GGA+U calculation of crystalline MgV4O5F7 at its relaxed geometry, from Materials Project. Values from VASP.

```
&SYSTEM
  ibrav = 0, nat = 17, ntyp = 4
/
ATOMIC_SPECIES
Mg 24.30 Mg.upf
V 50.94 V.upf
O 16.00 O.upf
F 19.00 F.upf
CELL_PARAMETERS angstrom
5.139 0.000 0.000
-2.505 4.880 0.000
-2.457 -1.652 8.557
ATOMIC_POSITIONS angstrom
Mg 0.000 0.000 0.000
V -0.200 -0.596 3.344
V -2.252 1.021 7.606
V 2.370 0.939 1.381
V 0.099 2.592 5.381
O -3.611 3.455 4.838
O 0.936 -0.183 1.790
O -1.248 1.733 6.260
O -0.911 -0.114 8.470
O 3.576 0.283 2.726
F -0.964 1.777 0.567
F -1.064 3.257 3.983
F 0.538 0.904 4.380
F 0.769 4.240 0.263
F 1.974 2.544 2.388
F 2.227 -0.724 6.731
F 1.172 2.033 7.248
```

Output
**Theoretical density**: 3.41 Mg/m³
**Magnetization**: 0.29 μB per atom

Arrangement B

The following is a GGA+U calculation of crystalline MgV4O5F7 at its relaxed geometry, from Materials Project. Values from VASP.

```
&SYSTEM
  ibrav = 0, nat = 17, ntyp = 4
/
ATOMIC_SPECIES
Mg 24.30 Mg.upf
V 50.94 V.upf
O 16.00 O.upf
F 19.00 F.upf
CELL_PARAMETERS angstrom
5.129 0.000 0.000
-0.350 5.428 0.000
-0.152 -0.415 7.696
ATOMIC_POSITIONS angstrom
Mg 0.000 0.000 0.000
V 2.209 0.123 5.384
V 2.390 0.386 1.882
V 4.679 2.804 5.572
V 4.752 3.097 1.839
O 0.472 4.407 6.059
O 0.941 4.453 1.347
O 1.829 0.307 3.746
O 3.340 1.854 2.055
O 3.718 1.372 5.431
F 0.221 2.891 3.733
F 0.748 1.507 1.148
F 1.116 1.638 6.119
F 3.032 -0.037 7.572
F 3.088 4.006 5.185
F 3.588 4.669 2.277
F 4.061 2.992 7.566
```

Output
**Theoretical density**: 3.42 Mg/m³
**Magnetization**: 0.30 μB per atom

Q: Which of them is the least stable? A: arrangement A.

Arrangement A

The following is a GGA+U calculation of crystalline MgV4O8F4 at its relaxed geometry, from Materials Project. Values from VASP.

```
&SYSTEM
  ibrav = 0, nat = 17, ntyp = 4
/
ATOMIC_SPECIES
Mg 24.30 Mg.upf
V 50.94 V.upf
O 16.00 O.upf
F 19.00 F.upf
CELL_PARAMETERS angstrom
4.661 0.000 0.000
0.000 3.691 0.000
-0.911 0.000 13.120
ATOMIC_POSITIONS angstrom
Mg 0.000 0.000 0.000
V 0.566 0.000 10.594
V 1.572 1.845 8.401
V 2.917 1.845 1.827
V 4.061 0.000 3.972
O 1.001 0.000 4.023
O 1.286 1.845 1.612
O 1.054 0.000 8.688
O 1.132 1.845 10.312
O 3.180 1.845 8.373
O 3.634 0.000 1.959
O 3.546 1.845 3.675
O 3.605 0.000 11.027
F 1.055 1.845 6.697
F 0.991 0.000 12.566
F 3.875 1.845 0.063
F 3.510 0.000 5.638
```

Output
**Theoretical density**: 3.18 Mg/m³
**Magnetization**: 0.12 μB per atom

Arrangement B

The following is a GGA+U calculation of crystalline MgV4O8F4 at its relaxed geometry, from Materials Project. Values from VASP.

```
&SYSTEM
  ibrav = 0, nat = 17, ntyp = 4
/
ATOMIC_SPECIES
Mg 24.30 Mg.upf
V 50.94 V.upf
O 16.00 O.upf
F 19.00 F.upf
CELL_PARAMETERS angstrom
5.103 0.000 0.000
2.433 4.545 0.000
2.042 1.532 8.969
ATOMIC_POSITIONS angstrom
Mg 0.000 0.000 0.000
V 2.182 1.151 6.033
V 4.419 3.077 8.407
V 4.925 2.854 1.706
V 7.455 4.312 3.879
O 4.105 4.692 7.465
O 3.750 4.067 3.021
O 3.525 1.950 7.460
O 3.439 2.859 0.721
O 5.688 4.785 5.189
O 6.319 3.381 2.940
O 5.805 1.034 5.125
O 5.988 1.670 0.738
F 2.621 2.935 5.211
F 5.639 4.516 0.674
F 4.414 1.379 2.915
F 6.164 2.750 7.591
```

Output
**Theoretical density**: 3.45 Mg/m³
**Magnetization**: 0.12 μB per atom

Q: Which of them is the least stable? A: arrangement B.

Arrangement A

The following is a GGA+U calculation of crystalline MgV2O2F6 at its relaxed geometry, from Materials Project. Values from VASP.

```
&SYSTEM
  ibrav = 0, nat = 11, ntyp = 4
/
ATOMIC_SPECIES
Mg 24.30 Mg.upf
V 50.94 V.upf
O 16.00 O.upf
F 19.00 F.upf
CELL_PARAMETERS angstrom
5.584 0.000 0.000
0.036 6.019 0.000
0.246 2.239 5.822
ATOMIC_POSITIONS angstrom
Mg 0.000 0.000 0.000
V 2.940 2.233 3.452
V 5.636 3.330 1.468
O 1.338 2.710 2.342
O 4.032 3.180 2.546
F 0.854 6.306 5.623
F 1.862 2.839 4.920
F 2.775 6.526 3.029
F 4.291 7.805 4.811
F 5.031 1.799 0.476
F 5.474 5.227 1.796
```

Output
**Theoretical density**: 2.31 Mg/m³
**Magnetization**: 0.18 μB per atom

Arrangement B

The following is a GGA+U calculation of crystalline MgV2O2F6 at its relaxed geometry, from Materials Project. Values from VASP.

```
&SYSTEM
  ibrav = 0, nat = 11, ntyp = 4
/
ATOMIC_SPECIES
Mg 24.30 Mg.upf
V 50.94 V.upf
O 16.00 O.upf
F 19.00 F.upf
CELL_PARAMETERS angstrom
4.879 -3.109 0.000
4.879 3.109 0.000
-0.002 0.000 5.140
ATOMIC_POSITIONS angstrom
Mg 0.000 0.000 0.000
V 4.878 1.475 2.570
V 4.879 -0.044 0.000
O 3.969 1.301 4.182
O 5.787 1.301 0.958
F 1.012 -0.276 3.444
F 3.799 0.028 1.644
F 5.957 0.028 3.496
F 3.814 -1.524 4.543
F 5.942 -1.524 0.597
F 8.744 -0.276 1.696
```

Output
**Theoretical density**: 2.90 Mg/m³
**Magnetization**: 0.18 μB per atom

Arrangement C

The following is a GGA+U calculation of crystalline MgV2O2F6 at its relaxed geometry, from Materials Project. Values from VASP.

```
&SYSTEM
  ibrav = 0, nat = 11, ntyp = 4
/
ATOMIC_SPECIES
Mg 24.30 Mg.upf
V 50.94 V.upf
O 16.00 O.upf
F 19.00 F.upf
CELL_PARAMETERS angstrom
4.666 0.000 0.000
-0.001 4.803 0.000
-2.223 -2.381 6.595
ATOMIC_POSITIONS angstrom
Mg 0.000 0.000 0.000
V 0.166 2.112 4.011
V 2.268 -0.290 2.588
O 1.144 3.252 2.700
O 1.288 0.851 3.898
F -1.179 -1.143 3.921
F -1.026 1.482 5.431
F 1.346 0.705 1.167
F 1.090 -1.690 5.427
F 3.462 3.880 1.175
F 3.609 1.259 2.682
```

Output
**Theoretical density**: 3.06 Mg/m³
**Magnetization**: 0.18 μB per atom

Arrangement D

The following is a GGA+U calculation of crystalline MgV2O2F6 at its relaxed geometry, from Materials Project. Values from VASP.

```
&SYSTEM
  ibrav = 0, nat = 11, ntyp = 4
/
ATOMIC_SPECIES
Mg 24.30 Mg.upf
V 50.94 V.upf
O 16.00 O.upf
F 19.00 F.upf
CELL_PARAMETERS angstrom
4.751 0.000 0.000
0.001 4.769 0.000
1.920 2.359 7.276
ATOMIC_POSITIONS angstrom
Mg 0.000 0.000 0.000
V 2.252 2.062 4.326
V 4.408 4.447 2.946
O 3.432 5.629 4.214
O 3.229 3.244 3.058
F 1.050 1.181 3.035
F 0.750 3.760 1.441
F 2.972 3.099 5.863
F 3.687 0.719 1.414
F 5.911 6.140 5.827
F 5.611 3.565 4.236
```

Output
**Theoretical density**: 2.74 Mg/m³
**Magnetization**: 0.18 μB per atom

Q: Which of them is the least stable? A: arrangement B.